No. 1
Mg14AlBO16, relaxed, DFT meta-GGA r2SCAN; E_form = -2.713 eV per atom; total moment = 0.00 μB per cell
1.0
8.4399 0.0000 0.0000
0.0000 8.4399 0.0000
0.0000 0.0000 4.1864
Mg O B Al
14 16 1 1
direct
0.7472 0.0000 0.5000
0.2549 0.2549 0.0000
0.2549 0.7451 0.0000
0.0000 0.2528 0.5000
0.7451 0.7451 0.0000
0.0000 0.5000 0.0000
0.2528 0.0000 0.5000
0.5000 0.7451 0.5000
0.5000 0.0000 0.0000
0.0000 0.7472 0.5000
0.7451 0.5000 0.5000
0.5000 0.2549 0.5000
0.2549 0.5000 0.5000
0.7451 0.2549 0.0000
0.2493 0.2493 0.5000
0.0000 0.7717 0.0000
0.2493 0.7507 0.5000
0.5000 0.5000 0.5000
0.5000 0.2298 0.0000
0.7702 0.5000 0.0000
0.2283 0.0000 0.0000
0.5000 0.0000 0.5000
0.2298 0.5000 0.0000
0.7717 0.0000 0.0000
0.0000 0.2283 0.0000
0.7507 0.7507 0.5000
0.7507 0.2493 0.5000
0.5000 0.7702 0.0000
0.0000 0.0000 0.5000
0.0000 0.5000 0.5000
0.5000 0.5000 0.0000
0.0000 0.0000 0.0000

No. 2
Mn2AlB2, relaxed, DFT meta-GGA r2SCAN; E_form = -0.401 eV per atom; total moment = 0.95 μB per cell
1.0
-2.3224 0.7230 1.4129
-1.4426 0.2017 -2.4744
-0.6944 -5.4151 1.6294
B Al Mn
2 1 2
direct
0.0000 0.7947 0.5895
0.0000 0.2053 0.4105
0.0000 0.0000 0.0000
0.5000 0.6461 0.2922
0.5000 0.3539 0.7078